(1)
Below is Ce3Pd4 after structural relaxation, with properties calculated at the meta-GGA r2SCAN level.

abc: 13.7794 13.7794 5.7701
angles: 90.00 90.00 120.00
Space group R-3 (No. 148, hexagonal axes)
One atom of each set of equivalent atoms:
Ce1 0.0428 0.2091 0.2399 [18 per cell]
Pd1 0.0000 0.0000 0.0000 [3 per cell]
Pd2 0.0000 0.0000 0.5000 [3 per cell]
Pd3 0.0553 0.4451 0.3882 [18 per cell]

formation enthalpy at 0 K = -5.57 eV/f.u.
E = -27.134 eV/atom
calculated density = 8.88 Mg/m³


(2)
Below is CePd after structural relaxation, with properties calculated at the meta-GGA r2SCAN level.

abc: 3.880 11.145 4.549
angles: 90.00 90.00 90.00
Space group Cmcm (No. 63)
One atom of each set of equivalent atoms:
Ce1 0.000 0.137 0.250 [4 per cell]
Pd1 0.000 0.413 0.250 [4 per cell]

formation enthalpy at 0 K = -1.55 eV/f.u.
E = -27.675 eV/atom
calculated density = 8.32 Mg/m³


(3)
Below is Ce3Pd5 after structural relaxation, with properties calculated at the meta-GGA r2SCAN level.

abc: 7.1003 7.1003 3.9453
angles: 90.00 90.00 120.00
Space group P-62m (No. 189)
One atom of each set of equivalent atoms:
Ce1 0.0000 0.6453 0.0000 [3 per cell]
Pd1 0.0000 0.2293 0.5000 [3 per cell]
Pd2 0.3333 0.6667 0.5000 [2 per cell]

formation enthalpy at 0 K = -6.35 eV/f.u.
E = -26.709 eV/atom
calculated density = 9.18 Mg/m³


(4)
Below is CeSbPd after structural relaxation, with properties calculated at the meta-GGA r2SCAN level.

abc: 4.6057 4.6057 8.1557
angles: 90.00 90.00 120.00
Space group P-3m1 (No. 164)
One atom of each set of equivalent atoms:
Ce1 0.0000 0.0000 0.0000 [1 per cell]
Ce2 0.0000 0.0000 0.5000 [1 per cell]
Sb1 0.3333 0.6667 0.2499 [2 per cell]
Pd1 0.3333 0.6667 0.7507 [2 per cell]

formation enthalpy at 0 K = -3.55 eV/f.u.
E = -27.687 eV/atom
calculated density = 8.16 Mg/m³


(5)
Below is CeSb2Pd after structural relaxation, with properties calculated at the meta-GGA r2SCAN level.

abc: 4.466 4.466 9.874
angles: 90.00 90.00 90.00
Space group P4/nmm (No. 129, origin choice 2)
One atom of each set of equivalent atoms:
Ce1 0.250 0.250 0.246 [2 per cell]
Sb1 0.250 0.250 0.844 [2 per cell]
Sb2 0.250 0.750 0.500 [2 per cell]
Pd1 0.250 0.750 0.000 [2 per cell]

formation enthalpy at 0 K = -3.68 eV/f.u.
E = -27.223 eV/atom
calculated density = 8.26 Mg/m³


(6)
Below is CeSbPd after structural relaxation, with properties calculated at the meta-GGA r2SCAN level.

abc: 4.5932 4.5932 8.0739
angles: 90.00 90.00 120.00
Space group P6_3mc (No. 186)
One atom of each set of equivalent atoms:
Ce1 0.0000 0.0000 0.0000 [2 per cell]
Sb1 0.3333 0.6667 0.2367 [2 per cell]
Pd1 0.3333 0.6667 0.7965 [2 per cell]

formation enthalpy at 0 K = -3.34 eV/f.u.
E = -27.617 eV/atom
calculated density = 8.29 Mg/m³